No. 1
A geometry-optimized LiErTl2 structure, computed with GGA-PBE.

Unit cell a=5.1813 b=5.1813 c=5.1813 alpha=60.00 beta=60.00 gamma=60.00
Closest atoms and distances in Å follow each position.
Sites, in units of the cell vectors:
Tl: 0.7500 0.7500 0.7500  4 Li 3.17, 4 Er 3.17
Tl: 0.2500 0.2500 0.2500  4 Er 3.17, 4 Li 3.17
Er: 0.5000 0.5000 0.5000  8 Tl 3.17
Li: 0.0000 0.0000 0.0000  8 Tl 3.17

Summary:
The value obtained for the formation energy is -118 kJ/mol of formula units.

=====

No. 2
A geometry-optimized SiO2 structure, computed with GGA-PBE.

Unit cell a=13.0976 b=11.2894 c=9.4296 alpha=93.32 beta=106.51 gamma=103.52
Closest atoms and distances in Å follow each position.
Sites, in units of the cell vectors:
Si: 0.5234 0.6012 0.7017  4 O 1.62-1.63
Si: 0.7325 0.4895 0.7719  4 O 1.62-1.63
Si: 0.1234 0.4178 0.4274  4 O 1.62-1.63
Si: 0.2594 0.5432 0.9107  4 O 1.62-1.63
Si: 0.3255 0.8633 0.6605  4 O 1.62-1.63
Si: 0.5900 0.8444 0.2655  4 O 1.62-1.63
Si: 0.6820 0.6082 0.3147  4 O 1.61-1.63
Si: 0.6723 0.1221 0.3407  4 O 1.62-1.63
Si: 0.8742 0.3400 0.3634  4 O 1.62-1.63
Si: 0.4632 0.7587 0.9314  4 O 1.62-1.63
Si: 0.1237 0.6454 0.6378  4 O 1.62-1.63
Si: 0.3158 0.3772 0.6865  4 O 1.61-1.63
Si: 0.4744 0.3842 0.2995  4 O 1.62-1.63
Si: 0.5346 0.2267 0.0698  4 O 1.62-1.63
Si: 0.8744 0.5676 0.5738  4 O 1.62-1.63
Si: 0.4212 0.7379 0.4365  4 O 1.62-1.64
Si: 0.5766 0.2475 0.5647  4 O 1.62-1.64
Si: 0.4079 0.1410 0.7357  4 O 1.62-1.63
Si: 0.7384 0.4423 0.0905  4 O 1.62-1.63
Si: 0.2653 0.4959 0.2293  4 O 1.62-1.63
O: 0.8341 0.3961 0.2074  2 Si 1.63
O: 0.6574 0.7406 0.2956  2 Si 1.61-1.62
O: 0.3198 0.6339 0.3199  2 Si 1.63
O: 0.7968 0.2042 0.3607  2 Si 1.62-1.63
O: 0.1296 0.5544 0.5016  2 Si 1.63
O: 0.7106 0.5579 0.1691  2 Si 1.63
O: 0.7783 0.4852 0.9501  2 Si 1.62
O: 0.3572 0.4177 0.2697  2 Si 1.62-1.63
O: 0.8682 0.4310 0.4996  2 Si 1.63
O: 0.4666 0.2976 0.1503  2 Si 1.63
O: 0.6406 0.5677 0.7315  2 Si 1.62-1.63
O: 0.5421 0.8435 0.0856  2 Si 1.62-1.63
O: 0.4958 0.3107 0.4446  2 Si 1.63-1.64
O: 0.1637 0.5894 0.7938  2 Si 1.63
O: 0.3239 0.0067 0.6636  2 Si 1.62-1.63
O: 0.1574 0.4297 0.2753  2 Si 1.62
O: 0.9993 0.3292 0.3889  2 Si 1.62
O: 0.3404 0.2449 0.7056  2 Si 1.61-1.62
O: 0.5898 0.1400 0.1827  2 Si 1.62-1.63
O: 0.4080 0.8454 0.8185  2 Si 1.62-1.63
O: 0.2195 0.5002 0.0511  2 Si 1.62
O: 0.2090 0.3570 0.5403  2 Si 1.62
O: 0.9985 0.6562 0.6123  2 Si 1.62
O: 0.6739 0.9787 0.3375  2 Si 1.62-1.63
O: 0.5060 0.1657 0.6580  2 Si 1.62-1.63
O: 0.5312 0.6878 0.8509  2 Si 1.63
O: 0.3701 0.6564 0.9735  2 Si 1.63
O: 0.5755 0.5088 0.3333  2 Si 1.63
O: 0.3691 0.8248 0.5236  2 Si 1.63
O: 0.2871 0.4275 0.8321  2 Si 1.63
O: 0.5020 0.6747 0.5566  2 Si 1.63-1.64
O: 0.4223 0.4767 0.6679  2 Si 1.63
O: 0.6277 0.3290 0.0277  2 Si 1.63
O: 0.7888 0.6284 0.4609  2 Si 1.62
O: 0.2011 0.7812 0.6405  2 Si 1.62-1.63
O: 0.6780 0.3515 0.6813  2 Si 1.63
O: 0.4557 0.1419 0.9156  2 Si 1.62-1.63
O: 0.4918 0.8197 0.3432  2 Si 1.62-1.63
O: 0.6288 0.1607 0.4776  2 Si 1.63
O: 0.8404 0.5558 0.7259  2 Si 1.62

Summary:
The value obtained for the formation energy is -940 kJ/mol of formula units.

=====

No. 3
A geometry-optimized Ho2TiO5 structure, computed with GGA-PBE.

Unit cell a=7.4109 b=7.4109 c=17.7762 alpha=89.47 beta=89.47 gamma=58.75
Closest atoms and distances in Å follow each position.
Sites, in units of the cell vectors:
O: 0.7879 0.3343 0.3171  1 Ti 1.85
O: 0.8445 0.8445 0.5593  1 Ti 2.02
O: 0.9640 0.5114 0.6541  1 Ti 1.87
O: 0.1342 0.6986 0.2096  3 Ho 2.23-2.33, 1 Ti 2.24
O: 0.6073 0.1815 0.9567  1 Ti 1.87
O: 0.6786 0.6786 0.2048  4 Ho 2.13-2.28
O: 0.8763 0.5083 0.9061  2 Ti 1.85-1.98
O: 0.8869 0.8869 0.3261  2 Ti 1.86
O: 0.7249 0.1313 0.6934  1 Ti 1.93
O: 0.0530 0.4809 0.1028  1 Ti 1.85
O: 0.3565 0.8550 0.7722  1 Ti 1.94
O: 0.3343 0.7879 0.3171  1 Ti 1.85
O: 0.6986 0.1342 0.2096  3 Ho 2.23-2.33, 1 Ti 2.24
O: 0.4809 0.0530 0.1028  1 Ti 1.85
O: 0.3280 0.3280 0.7947  4 Ho 2.18-2.32
O: 0.8550 0.3565 0.7722  1 Ti 1.94
O: 0.0028 0.0028 0.8718  4 Ho 2.13-2.23
O: 0.8177 0.3762 0.5472  1 Ti 2.08, 2 Ho 2.16-2.27
O: 0.1614 0.1614 0.2150  4 Ho 2.24-2.41
O: 0.3631 0.3631 0.3100  2 Ti 2.03
O: 0.5083 0.8763 0.9061  2 Ti 1.85-1.98
O: 0.1313 0.7249 0.6934  1 Ti 1.93
O: 0.5248 0.5248 0.6545  2 Ti 2.01
O: 0.2187 0.2187 0.9658  2 Ti 1.91
O: 0.6871 0.1911 0.4436  1 Ti 1.95
O: 0.7992 0.7992 0.7826  2 Ti 1.96-2.01
O: 0.1681 0.1681 0.4634  4 Ho 2.14-2.25
O: 0.5114 0.9640 0.6541  1 Ti 1.87
O: 0.4938 0.4938 0.1220  4 Ho 2.20-2.26
O: 0.1815 0.6073 0.9567  1 Ti 1.87
O: 0.8073 0.8073 0.0228  2 Ti 2.04
O: 0.5189 0.5189 0.8629  1 Ti 1.95
O: 0.0856 0.0856 0.6389  2 Ti 1.90
O: 0.2948 0.8500 0.0424  3 Ho 2.20-2.29
O: 0.9866 0.5195 0.3806  3 Ho 2.15-2.26, 1 Ti 2.30
O: 0.3762 0.8177 0.5472  1 Ti 2.08, 2 Ho 2.16-2.27
O: 0.3412 0.3412 0.5508  4 Ho 2.14-2.20
O: 0.1911 0.6871 0.4436  1 Ti 1.95
O: 0.5195 0.9866 0.3806  3 Ho 2.15-2.26, 1 Ti 2.30
O: 0.8500 0.2948 0.0424  3 Ho 2.20-2.29
Ti: 0.8368 0.8368 0.6727  6 O 1.93-2.11
Ti: 0.6728 0.1683 0.3351  4 O 1.85-2.03
Ti: 0.8401 0.3482 0.6636  5 O 1.87-2.08
Ti: 0.3482 0.8401 0.6636  5 O 1.87-2.08
Ti: 0.1683 0.6728 0.3351  4 O 1.85-2.03
Ti: 0.0246 0.4996 0.9993  5 O 1.85-2.04
Ti: 0.6664 0.6664 0.8373  4 O 1.85-1.96
Ti: 0.4996 0.0246 0.9993  5 O 1.85-2.04
Ho: 0.1821 0.1821 0.3402  5 O 2.20-2.39
Ho: 0.6851 0.6851 0.3259  5 O 2.15-2.31
Ho: 0.5157 0.5157 0.9978  6 O 2.22-2.40
Ho: 0.8263 0.3372 0.1666  5 O 2.23-2.29
Ho: 0.4978 0.4978 0.5102  5 O 2.14-2.29
Ho: 0.3468 0.3468 0.6726  3 O 2.17-2.32
Ho: 0.6820 0.1895 0.8219  6 O 2.22-2.46
Ho: 0.3420 0.3420 0.1786  7 O 2.20-2.41
Ho: 0.1723 0.1723 0.8457  5 O 2.20-2.41
Ho: 0.0207 0.5022 0.5043  5 O 2.20-2.38
Ho: 0.5022 0.0207 0.5043  5 O 2.20-2.38
Ho: 0.3372 0.8263 0.1666  5 O 2.23-2.29
Ho: 0.1895 0.6820 0.8219  6 O 2.22-2.46
Ho: 0.8262 0.8262 0.1507  6 O 2.13-2.38
Ho: 0.0173 0.0173 0.5150  5 O 2.14-2.38
Ho: 0.9819 0.9819 0.9911  4 O 2.13-2.32

Summary:
The value obtained for the formation energy is -2912 kJ/mol of formula units.